Entry 1:
# LiZr2Re | Materials Project | PBE | optimized geometry
# DFT total energy: -8.01 eV/atom
data_LiZr2Re
_chemical_formula_sum 'Li4 Zr8 Re4'
_cell_length_a 6.645
_cell_length_b 6.645
_cell_length_c 6.645
_cell_angle_alpha 90.00
_cell_angle_beta 90.00
_cell_angle_gamma 90.00
_space_group_name_H-M_alt 'F m -3 m'
_space_group_IT_number 225
_space_group_name_Hall '-F 4 2 3'
loop_
_atom_site_label
_atom_site_fract_x
_atom_site_fract_y
_atom_site_fract_z
_atom_site_occupancy
Li1 0.000 0.000 0.000 1
Zr1 0.250 0.250 0.250 1
Re1 0.000 0.000 0.500 1

=====

Entry 2:
# LiScRh2 | Materials Project | PBE | optimized geometry
# DFT total energy: -6.34 eV/atom
data_LiScRh2
_chemical_formula_sum 'Li4 Sc4 Rh8'
_cell_length_a 6.203
_cell_length_b 6.203
_cell_length_c 6.203
_cell_angle_alpha 90.00
_cell_angle_beta 90.00
_cell_angle_gamma 90.00
_space_group_name_H-M_alt 'F m -3 m'
_space_group_IT_number 225
_space_group_name_Hall '-F 4 2 3'
loop_
_atom_site_label
_atom_site_fract_x
_atom_site_fract_y
_atom_site_fract_z
_atom_site_occupancy
Li1 0.000 0.000 0.000 1
Sc1 0.000 0.000 0.500 1
Rh1 0.250 0.250 0.250 1

=====

Entry 3:
# LiSc2Rh | Materials Project | PBE | optimized geometry
# DFT total energy: -6.03 eV/atom
data_LiSc2Rh
_chemical_formula_sum 'Li4 Sc8 Rh4'
_cell_length_a 6.574
_cell_length_b 6.574
_cell_length_c 6.574
_cell_angle_alpha 90.00
_cell_angle_beta 90.00
_cell_angle_gamma 90.00
_space_group_name_H-M_alt 'F m -3 m'
_space_group_IT_number 225
_space_group_name_Hall '-F 4 2 3'
loop_
_atom_site_label
_atom_site_fract_x
_atom_site_fract_y
_atom_site_fract_z
_atom_site_occupancy
Li1 0.000 0.000 0.000 1
Sc1 0.250 0.250 0.250 1
Rh1 0.000 0.000 0.500 1

=====

Entry 4:
# LiSi2Rh2 | Materials Project | PBE | optimized geometry
# DFT total energy: -6.25 eV/atom
data_LiSi2Rh2
_chemical_formula_sum 'Li2 Si4 Rh4'
_cell_length_a 7.047
_cell_length_b 7.047
_cell_length_c 2.771
_cell_angle_alpha 90.00
_cell_angle_beta 90.00
_cell_angle_gamma 90.00
_space_group_name_H-M_alt 'P 4/m b m'
_space_group_IT_number 127
_space_group_name_Hall '-P 4 2ab'
loop_
_atom_site_label
_atom_site_fract_x
_atom_site_fract_y
_atom_site_fract_z
_atom_site_occupancy
Li1 0.000 0.000 0.000 1
Si1 0.146 0.354 0.000 1
Rh1 0.150 0.650 0.500 1

=====

Entry 5:
# LiSn4Rh | Materials Project | PBE | optimized geometry
# DFT total energy: -4.57 eV/atom
data_LiSn4Rh
_chemical_formula_sum 'Li4 Sn16 Rh4'
_cell_length_a 6.704
_cell_length_b 6.704
_cell_length_c 11.516
_cell_angle_alpha 90.00
_cell_angle_beta 90.00
_cell_angle_gamma 90.00
_space_group_name_H-M_alt 'I 4/m c m'
_space_group_IT_number 140
_space_group_name_Hall '-I 4 2c'
loop_
_atom_site_label
_atom_site_fract_x
_atom_site_fract_y
_atom_site_fract_z
_atom_site_occupancy
Li1 0.000 0.000 0.000 1
Sn1 0.160 0.340 0.136 1
Rh1 0.000 0.000 0.250 1

=====

Entry 6:
# Sr2LiRh | Materials Project | PBE | optimized geometry
# DFT total energy: -3.25 eV/atom
data_Sr2LiRh
_chemical_formula_sum 'Sr8 Li4 Rh4'
_cell_length_a 7.590
_cell_length_b 7.590
_cell_length_c 7.590
_cell_angle_alpha 90.00
_cell_angle_beta 90.00
_cell_angle_gamma 90.00
_space_group_name_H-M_alt 'F m -3 m'
_space_group_IT_number 225
_space_group_name_Hall '-F 4 2 3'
loop_
_atom_site_label
_atom_site_fract_x
_atom_site_fract_y
_atom_site_fract_z
_atom_site_occupancy
Sr1 0.250 0.250 0.250 1
Li1 0.000 0.000 0.000 1
Rh1 0.000 0.000 0.500 1

=====

- Look up the DFT total energy of the fifth one.
  -4.57 eV/atom

=====

- Which of these has the highest DFT total energy?
  Sr2LiRh